No. 1
Material: Li2FeBO4
Method: DFT, PBE with a Hubbard U
State: relaxed

Values from the calculation:
Formation energy (meV/atom): -2304
E (MP2020) (eV/cell): -228.8
Relative energy among the computed polymorphs (eV per atom): 0.010

Geometry as extended XYZ:
```
32
Lattice="3.626 3.497 0.000 -7.250 6.993 0.000 0.000 0.000 6.172" Properties=species:S:1:pos:R:3 pbc="T T T"
Li -1.416 3.497 3.086
Li -5.041 6.993 3.086
Li 1.417 3.497 6.172
Li -2.208 6.993 6.172
Li 0.000 1.219 4.629
Li -3.625 4.715 4.629
Li 0.000 5.775 1.543
Li -3.625 9.271 1.543
Fe -4.962 6.994 0.001
Fe -2.288 6.992 3.087
Fe -1.336 3.498 0.001
Fe 1.337 3.496 3.087
B 0.000 1.265 1.543
B -3.625 4.762 1.543
B 0.001 5.728 4.629
B -3.625 9.225 4.629
O -2.419 3.865 1.495
O -6.044 7.362 1.495
O -2.419 3.128 4.677
O -6.044 6.625 4.677
O 2.420 3.865 1.590
O -1.205 7.362 1.590
O 2.420 3.128 4.581
O -1.205 6.625 4.581
O -0.048 2.102 0.305
O -3.673 5.598 0.305
O -0.049 4.892 5.867
O -3.674 8.388 5.867
O 0.049 4.892 3.391
O -3.576 8.388 3.391
O 0.049 2.102 2.781
O -3.576 5.598 2.781
```

***

No. 2
Material: Li2VPO4F
Method: DFT, PBE with a Hubbard U
State: relaxed

Values from the calculation:
Formation energy (meV/atom): -2727
E (MP2020) (eV/cell): -258.3
Relative energy among the computed polymorphs (eV per atom): 0.018

Geometry as extended XYZ:
```
36
Lattice="-3.284 -4.034 1.651 -6.574 0.001 -4.122 3.279 -4.034 -9.073" Properties=species:S:1:pos:R:3 pbc="T T T"
Li -2.460 -5.271 -8.743
Li -2.454 -5.271 -1.320
Li -4.121 -5.271 -6.513
Li -0.832 -1.238 -0.741
Li -4.523 -2.333 -4.655
Li -1.239 -6.368 -6.306
Li -2.053 -2.334 -3.177
Li -5.342 -6.368 -8.949
V -6.575 -4.041 -7.835
V -0.007 -4.042 -7.420
V -3.285 -0.009 -2.064
V -6.575 -4.043 -4.118
P -3.285 -2.867 -0.204
P -3.291 -2.867 -7.626
P -3.294 -5.205 -11.339
P -3.289 -5.205 -3.916
O -4.423 -3.829 -0.643
O -4.429 -3.828 -8.065
O -2.152 -3.825 -7.185
O -8.720 -3.825 -3.884
O -2.144 -4.315 -10.781
O -2.138 -4.315 -3.358
O -4.437 -4.312 -4.476
O 2.132 -4.312 -7.777
O -2.718 -1.942 -1.323
O -6.008 -5.976 -7.095
O -0.575 -5.971 -8.161
O -3.860 -1.937 -6.511
O -3.769 -6.090 -10.153
O -0.479 -2.057 -4.381
O -6.097 -2.058 -3.450
O -2.813 -6.093 -5.100
F -3.294 -6.923 -7.630
F -6.579 -2.889 -5.979
F -3.288 -1.066 -3.919
F -0.003 -5.100 -5.569
```

***

Look up the formation energy of the first one.
-2304 meV/atom

***

Number 2 is which compound?
Li2VPO4F

***

The highest formation energy belongs to which entry?
Li2FeBO4

***

Which value of formation energy does entry 2 give?
-2727 meV/atom